Entry 1:
Entry from the Materials Project: a relaxed Na14Hf4Ti4Si11SO48 crystal (GGA-PBE).

a = 9.0819 Å, b = 15.7303 Å, c = 22.3035 Å
α = 90.03°, β = 90.05°, γ = 90.00°
With the nearest neighbours (Å) after each atom.
Space group P1 (No. 1)
One atom of each set of equivalent atoms:
1 Na 0.0000 0.0000 0.0000 x1  5 O 2.35-2.61
2 Na 0.0000 0.0354 0.6665 x1  6 O 2.50-2.69
3 Na 0.1304 0.5359 0.1672 x1  6 O 2.48-2.75
4 Na 0.1317 0.5039 0.5007 x1  3 O 2.30-2.57
5 Na 0.1336 0.8325 0.8364 x1  6 O 2.43-2.67
6 Na 0.1350 0.1739 0.1666 x1  8 O 2.53-2.83
7 Na 0.1353 0.2069 0.8337 x1  6 O 2.43-2.70
8 Na 0.1832 0.8486 0.1652 x1  6 O 2.47-2.69
9 Na 0.1919 0.5184 0.8339 x1  6 O 2.43-2.70
10 Na 0.3003 0.0248 0.5836 x1  6 O 2.39-2.68
11 Na 0.3009 0.3487 0.9163 x1  6 O 2.42-2.69
12 Na 0.3163 0.6870 0.2476 x1  6 O 2.47-2.63
13 Na 0.3164 0.6875 0.7532 x1  6 O 2.46-2.61
14 Na 0.3195 0.0262 0.0831 x1  6 O 2.45-2.58
15 Na 0.3297 0.3486 0.4181 x1  6 O 2.41-2.68
16 Na 0.4489 0.8495 0.6664 x1  6 O 2.46-2.73
17 Na 0.4503 0.5184 0.3339 x1  6 O 2.47-2.72
18 Na 0.4941 0.1726 0.6668 x1  6 O 2.49-2.73
19 Na 0.4958 0.2037 0.3343 x1  6 O 2.49-2.67
20 Na 0.4956 0.8336 0.3348 x1  5 O 2.42-2.68
21 Na 0.4977 0.8709 0.0000 x1  6 O 2.42-2.64
22 Na 0.5013 0.5036 0.0005 x1  5 O 2.38-2.63
23 Na 0.5022 0.5336 0.6685 x1  6 O 2.44-2.72
24 Na 0.6256 0.7017 0.8349 x1  6 O 2.40-2.65
25 Na 0.6296 0.0352 0.1662 x1  6 O 2.48-2.73
26 Na 0.6297 0.3369 0.8334 x1  5 O 2.42-2.64
27 Na 0.6300 0.6670 0.1669 x1  6 O 2.48-2.71
28 Na 0.6316 0.0032 0.5006 x1  4 O 2.31-2.57
29 Na 0.6734 0.0204 0.8350 x1  6 O 2.52-2.75
30 Na 0.6796 0.3546 0.1681 x1  6 O 2.47-2.75
31 Na 0.8004 0.5247 0.5858 x1  6 O 2.42-2.70
32 Na 0.8135 0.1892 0.7507 x1  6 O 2.51-2.59
33 Na 0.8144 0.1897 0.2507 x1  6 O 2.52-2.59
34 Na 0.8138 0.8529 0.9165 x1  6 O 2.49-2.53
35 Na 0.8226 0.5163 0.0841 x1  6 O 2.49-2.58
36 Na 0.8294 0.8481 0.4182 x1  6 O 2.39-2.67
37 Na 0.9428 0.3546 0.6685 x1  5 O 2.43-2.63
38 Na 0.9448 0.6834 0.0011 x1  5 O 2.38-2.65
39 Na 0.9530 0.0191 0.3353 x1  6 O 2.53-2.73
40 Na 0.9924 0.6673 0.6681 x1  6 O 2.46-2.76
41 Na 0.9932 0.7018 0.3342 x1  6 O 2.46-2.69
42 Na 0.9964 0.3359 0.3343 x1  5 O 2.42-2.63
43 Hf 0.3031 0.3527 0.0634 x1  5 O 1.97-2.11
44 Hf 0.3063 0.0243 0.4395 x1  5 O 1.96-2.13
45 Hf 0.3132 0.0192 0.2321 x1  6 O 2.03-2.11
46 Hf 0.3144 0.3528 0.2687 x1  6 O 2.02-2.11
47 Hf 0.3162 0.0246 0.9398 x1  6 O 2.00-2.16
48 Hf 0.3166 0.0205 0.7323 x1  6 O 2.02-2.11
49 Hf 0.3265 0.3525 0.5633 x1  5 O 1.97-2.12
50 Hf 0.8060 0.5245 0.4395 x1  5 O 1.96-2.12
51 Hf 0.8143 0.8512 0.0629 x1  6 O 2.02-2.15
52 Hf 0.8139 0.8510 0.7695 x1  6 O 2.03-2.12
53 Hf 0.8145 0.8526 0.2692 x1  6 O 2.03-2.11
54 Hf 0.8252 0.8498 0.5628 x1  5 O 1.96-2.14
55 Ti 0.3031 0.6786 0.3946 x1  5 O 1.86-2.06
56 Ti 0.3089 0.6760 0.6071 x1  5 O 1.86-2.02
57 Ti 0.3135 0.6830 0.1017 x1  6 O 1.92-2.06
58 Ti 0.3152 0.6844 0.8983 x1  6 O 1.89-2.09
59 Ti 0.3165 0.3529 0.7694 x1  6 O 1.92-2.10
60 Ti 0.8056 0.1809 0.3959 x1  5 O 1.87-2.06
61 Ti 0.8103 0.1798 0.6062 x1  5 O 1.87-2.08
62 Ti 0.8114 0.5192 0.2321 x1  6 O 1.93-2.04
63 Ti 0.8135 0.5185 0.7329 x1  6 O 1.91-2.06
64 Ti 0.8190 0.1809 0.1056 x1  5 O 1.87-2.01
65 Ti 0.8227 0.1827 0.8955 x1  5 O 1.86-2.05
66 Ti 0.8229 0.5221 0.9339 x1  4 O 1.86-2.01
67 Si 0.0146 0.3539 0.1682 x1  4 O 1.63-1.64
68 Si 0.0201 0.0197 0.8357 x1  4 O 1.62-1.67
69 Si 0.0278 0.6863 0.5008 x1  4 O 1.62-1.66
70 Si 0.1005 0.5183 0.3352 x1  4 O 1.62-1.67
71 Si 0.1006 0.1893 0.0004 x1  4 O 1.62-1.66
72 Si 0.1124 0.8509 0.6676 x1  4 O 1.63-1.65
73 Si 0.1637 0.1681 0.3344 x1  4 O 1.63-1.64
74 Si 0.1664 0.2102 0.6679 x1  4 O 1.62-1.66
75 Si 0.1655 0.4955 0.6674 x1  4 O 1.63-1.67
76 Si 0.1675 0.5409 0.9988 x1  4 O 1.63-1.65
77 Si 0.1705 0.8710 0.3354 x1  4 O 1.62-1.64
78 Si 0.1730 0.8282 0.0002 x1  4 O 1.63-1.65
79 Si 0.4583 0.5428 0.5007 x1  4 O 1.62-1.66
80 Si 0.4592 0.8709 0.8362 x1  4 O 1.63-1.64
81 Si 0.4629 0.1702 0.8338 x1  4 O 1.63-1.64
82 Si 0.4634 0.5005 0.1651 x1  4 O 1.63-1.64
83 Si 0.4645 0.2065 0.1661 x1  4 O 1.62-1.64
84 Si 0.5167 0.8507 0.1656 x1  4 O 1.63-1.64
85 Si 0.5270 0.5186 0.8354 x1  4 O 1.64-1.65
86 Si 0.5276 0.1874 0.5007 x1  4 O 1.62-1.66
87 Si 0.6023 0.6823 0.9994 x1  4 O 1.64-1.65
88 Si 0.6070 0.0188 0.3370 x1  4 O 1.62-1.66
89 Si 0.6085 0.3536 0.6695 x1  4 O 1.63-1.66
90 Si 0.6650 0.6646 0.3330 x1  4 O 1.63-1.65
91 Si 0.6659 0.7037 0.6670 x1  4 O 1.63-1.65
92 Si 0.6675 0.9986 0.6647 x1  4 O 1.62-1.67
93 Si 0.6705 0.0447 0.0008 x1  4 O 1.62-1.65
94 Si 0.6718 0.3740 0.3341 x1  4 O 1.62-1.66
95 Si 0.9582 0.0430 0.5014 x1  4 O 1.62-1.66
96 Si 0.9600 0.3759 0.8339 x1  4 O 1.64-1.65
97 Si 0.9621 0.0008 0.1660 x1  4 O 1.62-1.66
98 Si 0.9622 0.6626 0.8335 x1  4 O 1.63-1.66
99 Si 0.9637 0.7027 0.1670 x1  4 O 1.64
100 S 0.4574 0.8288 0.5007 x1  4 O 1.48-1.50
101 S 0.6722 0.3315 0.0002 x1  4 O 1.49-1.50
102 S 0.9576 0.3294 0.5011 x1  4 O 1.48-1.50
103 O 0.0000 0.8710 0.6124 x1  1 Si 1.63
104 O 0.0042 0.5019 0.3953 x1  1 Si 1.62
105 O 0.0120 0.8322 0.7276 x1  1 Si 1.65
106 O 0.1161 0.3318 0.2271 x1  1 Si 1.64
107 O 0.1213 0.3398 0.5028 x1  1 S 1.50
108 O 0.1219 0.0371 0.7766 x1  1 Si 1.63
109 O 0.1227 0.0036 0.8941 x1  1 Si 1.62
110 O 0.1277 0.3743 0.1131 x1  1 Si 1.64
111 O 0.1333 0.6928 0.4404 x1  1 Si 1.66
112 O 0.1359 0.0323 0.4999 x1  1 Si 1.62
113 O 0.1378 0.6778 0.5598 x1  1 Si 1.66
114 O 0.1397 0.0113 0.1702 x1  1 Si 1.62
115 O 0.1395 0.3674 0.8291 x1  1 Si 1.64
116 O 0.1412 0.6708 0.8377 x1  1 Si 1.63
117 O 0.1428 0.6932 0.1611 x1  1 Si 1.64
118 O 0.1850 0.1088 0.2743 x1  1 Si 1.64
119 O 0.1897 0.4386 0.6074 x1  1 Si 1.63
120 O 0.1923 0.0997 0.9993 x1  1 Si 1.64
121 O 0.1989 0.2696 0.7281 x1  1 Si 1.66
122 O 0.1989 0.6007 0.0585 x1  1 Si 1.65
123 O 0.2002 0.9369 0.3902 x1  1 Si 1.62
124 O 0.2058 0.2725 0.0023 x1  1 Si 1.62
125 O 0.2060 0.6048 0.3386 x1  1 Si 1.67
126 O 0.2066 0.7696 0.9404 x1  1 Si 1.65
127 O 0.2105 0.4368 0.3285 x1  1 Si 1.63
128 O 0.2146 0.9364 0.6720 x1  1 Si 1.64
129 O 0.2178 0.7671 0.6592 x1  1 Si 1.64
130 O 0.2379 0.1147 0.6731 x1  1 Si 1.64
131 O 0.2398 0.5894 0.9400 x1  1 Si 1.65
132 O 0.2407 0.2616 0.3307 x1  1 Si 1.63
133 O 0.2429 0.5914 0.6634 x1  1 Si 1.67
134 O 0.2428 0.7809 0.0594 x1  1 Si 1.64
135 O 0.2440 0.9121 0.2746 x1  1 Si 1.64
136 O 0.2473 0.9227 0.9981 x1  1 Si 1.63
137 O 0.2482 0.4503 0.7252 x1  1 Si 1.65
138 O 0.2484 0.7772 0.3427 x1  1 Si 1.64
139 O 0.2492 0.1216 0.3898 x1  1 Si 1.63
140 O 0.2497 0.2548 0.6119 x1  1 Si 1.62
141 O 0.2562 0.4508 0.0021 x1  1 Si 1.63
142 O 0.3690 0.4520 0.5017 x1  1 Si 1.64
143 O 0.3778 0.1229 0.8887 x1  1 Si 1.63
144 O 0.3790 0.2542 0.1117 x1  1 Si 1.62
145 O 0.3826 0.7766 0.8399 x1  1 Si 1.64
146 O 0.3837 0.2635 0.8279 x1  1 Si 1.64
147 O 0.3838 0.4571 0.2237 x1  1 Si 1.64
148 O 0.3863 0.5945 0.1597 x1  1 Si 1.64
149 O 0.3861 0.9159 0.7768 x1  1 Si 1.64
150 O 0.3913 0.5934 0.4414 x1  1 Si 1.66
151 O 0.3916 0.1115 0.1713 x1  1 Si 1.64
152 O 0.3922 0.9163 0.4990 x1  1 S 1.50
153 O 0.4028 0.7874 0.5559 x1  1 S 1.48
154 O 0.4149 0.5983 0.5611 x1  1 Si 1.65
155 O 0.4147 0.7655 0.1605 x1  1 Si 1.63
156 O 0.4152 0.9364 0.1709 x1  1 Si 1.64
157 O 0.4223 0.2707 0.5029 x1  1 Si 1.62
158 O 0.4225 0.4338 0.8287 x1  1 Si 1.64
159 O 0.4228 0.6038 0.8393 x1  1 Si 1.64
160 O 0.4229 0.7809 0.4453 x1  1 S 1.48
161 O 0.4316 0.9326 0.8939 x1  1 Si 1.63
162 O 0.4359 0.0974 0.5004 x1  1 Si 1.64
163 O 0.4390 0.4396 0.1066 x1  1 Si 1.63
164 O 0.4406 0.2633 0.2271 x1  1 Si 1.64
165 O 0.4460 0.1096 0.7740 x1  1 Si 1.64
166 O 0.4858 0.6738 0.3397 x1  1 Si 1.64
167 O 0.4864 0.6950 0.6591 x1  1 Si 1.65
168 O 0.4898 0.0112 0.6703 x1  1 Si 1.63
169 O 0.4925 0.3634 0.3291 x1  1 Si 1.64
170 O 0.4933 0.0310 0.9992 x1  1 Si 1.62
171 O 0.4953 0.6963 0.9405 x1  1 Si 1.65
172 O 0.4956 0.6699 0.0584 x1  1 Si 1.65
173 O 0.4990 0.3360 0.7275 x1  1 Si 1.66
174 O 0.5022 0.3752 0.6124 x1  1 Si 1.63
175 O 0.5044 0.0032 0.3954 x1  1 Si 1.62
176 O 0.5053 0.0366 0.2777 x1  1 Si 1.64
177 O 0.5083 0.3414 0.0020 x1  1 S 1.50
178 O 0.6215 0.8396 0.5025 x1  1 S 1.50
179 O 0.6218 0.8368 0.2246 x1  1 Si 1.64
180 O 0.6224 0.8676 0.1072 x1  1 Si 1.64
181 O 0.6324 0.1951 0.4403 x1  1 Si 1.66
182 O 0.6343 0.5038 0.8942 x1  1 Si 1.65
183 O 0.6349 0.5338 0.7766 x1  1 Si 1.65
184 O 0.6359 0.5320 0.4999 x1  1 Si 1.62
185 O 0.6392 0.1804 0.5597 x1  1 Si 1.66
186 O 0.6387 0.8618 0.8310 x1  1 Si 1.64
187 O 0.6414 0.1822 0.8430 x1  1 Si 1.64
188 O 0.6425 0.5100 0.1731 x1  1 Si 1.64
189 O 0.6438 0.1984 0.1586 x1  1 Si 1.64
190 O 0.6868 0.7635 0.7271 x1  1 Si 1.65
191 O 0.6944 0.9388 0.6064 x1  1 Si 1.62
192 O 0.6953 0.6036 0.2741 x1  1 Si 1.65
193 O 0.6992 0.4371 0.3906 x1  1 Si 1.62
194 O 0.7044 0.7686 0.0022 x1  1 Si 1.65
195 O 0.7060 0.2815 0.9452 x1  1 S 1.49
196 O 0.7066 0.5971 0.9955 x1  1 Si 1.64
197 O 0.7114 0.2685 0.6622 x1  1 Si 1.64
198 O 0.7128 0.0999 0.0611 x1  1 Si 1.64
199 O 0.7129 0.1049 0.3406 x1  1 Si 1.66
200 O 0.7128 0.4379 0.6759 x1  1 Si 1.64
201 O 0.7144 0.9360 0.3312 x1  1 Si 1.63
202 O 0.7269 0.2893 0.0555 x1  1 S 1.49
203 O 0.7383 0.7593 0.3280 x1  1 Si 1.64
204 O 0.7388 0.0944 0.9417 x1  1 Si 1.65
205 O 0.7387 0.4177 0.9979 x1  1 S 1.49
206 O 0.7409 0.6092 0.6732 x1  1 Si 1.64
207 O 0.7443 0.0946 0.6611 x1  1 Si 1.67
208 O 0.7451 0.4195 0.2742 x1  1 Si 1.66
209 O 0.7447 0.9559 0.7239 x1  1 Si 1.64
210 O 0.7487 0.2796 0.3402 x1  1 Si 1.65
211 O 0.7502 0.6225 0.3901 x1  1 Si 1.63
212 O 0.7500 0.7517 0.6121 x1  1 Si 1.63
213 O 0.7510 0.9505 0.0018 x1  1 Si 1.65
214 O 0.8698 0.9519 0.5022 x1  1 Si 1.64
215 O 0.8823 0.4190 0.7745 x1  1 Si 1.65
216 O 0.8829 0.2818 0.8413 x1  1 Si 1.65
217 O 0.8831 0.6187 0.8929 x1  1 Si 1.66, 1 Ti 1.86
218 O 0.8854 0.7474 0.1084 x1  1 Si 1.64
219 O 0.8853 0.9590 0.2252 x1  1 Si 1.63
220 O 0.8859 0.6093 0.1736 x1  1 Si 1.64
221 O 0.8857 0.7567 0.8308 x1  1 Si 1.64
222 O 0.8871 0.0964 0.1613 x1  1 Si 1.66
223 O 0.8906 0.0946 0.4427 x1  1 Si 1.66
224 O 0.8919 0.4165 0.4995 x1  1 S 1.50
225 O 0.9024 0.2878 0.5564 x1  1 S 1.48
226 O 0.9094 0.2702 0.1587 x1  1 Si 1.64
227 O 0.9126 0.4390 0.1742 x1  1 Si 1.63
228 O 0.9140 0.1059 0.8398 x1  1 Si 1.67
229 O 0.9142 0.9360 0.8306 x1  1 Si 1.63
230 O 0.9169 0.1002 0.5618 x1  1 Si 1.66
231 O 0.9226 0.2813 0.4459 x1  1 S 1.48
232 O 0.9227 0.7698 0.5019 x1  1 Si 1.62
233 O 0.9252 0.4409 0.8902 x1  1 Si 1.65
234 O 0.9261 0.6031 0.7749 x1  1 Si 1.64
235 O 0.9324 0.9401 0.1080 x1  1 Si 1.63
236 O 0.9353 0.5966 0.5003 x1  1 Si 1.64
237 O 0.9378 0.7653 0.2249 x1  1 Si 1.64
238 O 0.9856 0.1788 0.3432 x1  1 Si 1.64
239 O 0.9862 0.2024 0.6618 x1  1 Si 1.65
240 O 0.9871 0.5345 0.9937 x1  1 Si 1.65
241 O 0.9879 0.5081 0.6750 x1  1 Si 1.63
242 O 0.9908 0.1807 0.0593 x1  1 Si 1.66
243 O 0.9915 0.8602 0.3306 x1  1 Si 1.64
244 O 0.9924 0.5343 0.2771 x1  1 Si 1.65
245 O 0.9926 0.8361 0.0027 x1  1 Si 1.64
246 O 0.9948 0.1966 0.9400 x1  1 Si 1.66

Electronic total energy: -7.440 eV per atom

=====

Entry 2:
Entry from the Materials Project: a relaxed Ba2CaBiO6 crystal (GGA-PBE).

a = 8.7736 Å, b = 8.7736 Å, c = 8.7736 Å
α = 90.00°, β = 90.00°, γ = 90.00°
With the nearest neighbours (Å) after each atom.
Space group Fm-3m (No. 225)
One atom of each set of equivalent atoms:
1 Ba 0.2500 0.2500 0.2500 x8  12 O 3.10
2 Ca 0.0000 0.0000 0.0000 x4  6 O 2.27
3 Bi 0.0000 0.0000 0.5000 x4  6 O 2.12
4 O 0.0000 0.0000 0.2589 x24  1 Bi 2.12, 1 Ca 2.27

Electronic total energy: -5.972 eV per atom

=====

Entry 3:
Entry from the Materials Project: a relaxed SrO crystal (GGA-PBE).

a = 3.5863 Å, b = 3.5863 Å, c = 6.2593 Å
α = 90.00°, β = 90.00°, γ = 120.00°
With the nearest neighbours (Å) after each atom.
Space group P6_3/mmc (No. 194)
One atom of each set of equivalent atoms:
1 Sr 0.3333 0.6667 0.2500 x2  6 O 2.60
2 O 0.0000 0.0000 0.0000 x2  6 Sr 2.60

Electronic total energy: -5.962 eV per atom